LiCoO2, relaxed, DFT PBE with a Hubbard U; total DFT energy (no corrections) = -0.4147 Ry per atom; DFT formation energy = -1.666 eV per atom; magnetic moment = 0.200 μB/atom
1.0
4.953 0.000 0.000
-0.821 4.936 0.000
-1.684 -2.751 6.852
Li Co O
5 5 10
Direct
0.000 0.000 0.000 Li
0.108 0.211 0.721 Li
0.287 0.585 0.085 Li
0.713 0.415 0.915 Li
0.892 0.789 0.279 Li
0.197 0.397 0.399 Co
0.397 0.802 0.805 Co
0.500 0.000 0.500 Co
0.603 0.198 0.195 Co
0.803 0.603 0.601 Co
0.054 0.610 0.834 O
0.152 0.774 0.551 O
0.272 0.027 0.269 O
0.370 0.177 0.952 O
0.462 0.419 0.642 O
0.538 0.581 0.358 O
0.630 0.823 0.048 O
0.728 0.973 0.731 O
0.848 0.226 0.449 O
0.946 0.390 0.166 O

***

MnFe4Bi5O15, relaxed, DFT PBE with a Hubbard U; total DFT energy (no corrections) = -0.4340 Ry per atom; polymorph energy (0 for the lowest one) = 9.79 eV/f.u.; DFT formation energy = -1.277 eV per atom; magnetic moment = 0.002 μB/atom
1.0
5.647 0.000 0.000
2.823 4.964 0.000
0.106 2.868 23.073
Mn Fe Bi O
2 8 10 30
Direct
0.000 0.000 0.000 Mn
0.397 0.410 0.201 Mn
0.098 0.114 0.301 Fe
0.195 0.215 0.600 Fe
0.292 0.317 0.900 Fe
0.493 0.516 0.500 Fe
0.593 0.618 0.800 Fe
0.688 0.722 0.098 Fe
0.795 0.817 0.400 Fe
0.892 0.917 0.700 Fe
0.104 0.239 0.444 Bi
0.203 0.342 0.743 Bi
0.302 0.434 0.046 Bi
0.409 0.537 0.344 Bi
0.503 0.639 0.644 Bi
0.603 0.737 0.944 Bi
0.704 0.841 0.243 Bi
0.805 0.939 0.544 Bi
0.902 0.042 0.844 Bi
0.996 0.152 0.144 Bi
0.017 0.947 0.368 O
0.047 0.426 0.358 O
0.056 0.984 0.637 O
0.086 0.494 0.132 O
0.110 0.650 0.468 O
0.195 0.725 0.257 O
0.205 0.149 0.967 O
0.235 0.637 0.955 O
0.249 0.192 0.237 O
0.299 0.853 0.063 O
0.300 0.686 0.737 O
0.393 0.930 0.858 O
0.411 0.351 0.567 O
0.443 0.829 0.557 O
0.454 0.385 0.837 O
0.504 0.885 0.336 O
0.509 0.051 0.667 O
0.590 0.129 0.458 O
0.605 0.552 0.166 O
0.630 0.051 0.159 O
0.653 0.587 0.437 O
0.703 0.091 0.938 O
0.722 0.241 0.271 O
0.796 0.314 0.052 O
0.811 0.752 0.767 O
0.843 0.228 0.757 O
0.858 0.795 0.032 O
0.899 0.287 0.537 O
0.911 0.449 0.867 O
0.990 0.528 0.657 O